[1]
# MgScCr2AgH4O10

MgScCr2AgH4O10 after structural relaxation (PBE with a Hubbard U, the Materials Project database).

a = 5.798 Å, b = 6.571 Å, c = 7.155 Å
α = 109.80°, β = 95.44°, γ = 111.64°
Atoms (fractional coordinates):
Mg (0.276, 0.314, 0.470)
Sc (0.011, 0.007, 0.992)
Cr (0.675, 0.249, 0.305)
Cr (0.356, 0.782, 0.704)
Ag (0.821, 0.858, 0.458)
H (0.212, 0.449, 0.927)
H (0.775, 0.515, 0.793)
H (0.810, 0.557, 0.035)
H (0.254, 0.511, 0.174)
O (0.895, 0.114, 0.293)
O (0.335, 0.088, 0.200)
O (0.658, 0.975, 0.855)
O (0.771, 0.482, 0.243)
O (0.639, 0.344, 0.554)
O (0.183, 0.379, 0.035)
O (0.839, 0.638, 0.940)
O (0.127, 0.900, 0.724)
O (0.248, 0.519, 0.743)
O (0.374, 0.650, 0.453)

Summary:
The value obtained for the theoretical density is 3.20 Mg/m³. The crystal system is triclinic. For the uncorrected energy, the calculation gives -6.164 eV/atom. As for the space group: No. 1.

=====

[2]
# ScCr2AgH4O10

ScCr2AgH4O10 after structural relaxation (PBE with a Hubbard U, the Materials Project database).

a = 5.716 Å, b = 6.183 Å, c = 7.313 Å
α = 110.04°, β = 91.54°, γ = 116.02°
Atoms (fractional coordinates):
Sc (0.000, 0.000, 0.000)
Cr (0.636, 0.234, 0.316)
Cr (0.364, 0.766, 0.684)
Ag (0.000, 0.000, 0.500)
H (0.231, 0.483, 0.958)
H (0.724, 0.454, 0.802)
H (0.769, 0.517, 0.042)
H (0.276, 0.546, 0.198)
O (0.827, 0.077, 0.252)
O (0.321, 0.042, 0.180)
O (0.679, 0.958, 0.820)
O (0.774, 0.508, 0.280)
O (0.625, 0.302, 0.550)
O (0.205, 0.408, 0.061)
O (0.795, 0.592, 0.939)
O (0.173, 0.923, 0.748)
O (0.226, 0.492, 0.720)
O (0.375, 0.698, 0.450)

Summary:
The value obtained for the theoretical density is 3.28 Mg/m³. The crystal system is triclinic. As for the energy above the most stable polymorph in this dataset: 0 meV/atom. As for the space group: No. 2.

=====

[3]
# KCr2AgO7

KCr2AgO7 after structural relaxation (PBE with a Hubbard U, the Materials Project database).

a = 5.929 Å, b = 7.807 Å, c = 15.487 Å
α = 90.00°, β = 90.00°, γ = 90.00°
Atoms (fractional coordinates):
K (0.750, 0.643, 0.789)
K (0.750, 0.857, 0.289)
K (0.250, 0.357, 0.211)
K (0.250, 0.143, 0.711)
Cr (0.250, 0.804, 0.943)
Cr (0.750, 0.176, 0.855)
Cr (0.750, 0.324, 0.355)
Cr (0.250, 0.696, 0.443)
Cr (0.250, 0.824, 0.145)
Cr (0.750, 0.304, 0.557)
Cr (0.250, 0.676, 0.645)
Cr (0.750, 0.196, 0.057)
Ag (0.250, 0.157, 0.451)
Ag (0.750, 0.657, 0.049)
Ag (0.250, 0.343, 0.951)
Ag (0.750, 0.843, 0.549)
O (0.022, 0.701, 0.151)
O (0.750, 0.434, 0.638)
O (0.521, 0.319, 0.057)
O (0.478, 0.701, 0.151)
O (0.250, 0.967, 0.221)
O (0.978, 0.201, 0.349)
O (0.979, 0.181, 0.557)
O (0.479, 0.681, 0.943)
O (0.250, 0.578, 0.541)
O (0.250, 0.934, 0.862)
O (0.522, 0.201, 0.349)
O (0.478, 0.799, 0.651)
O (0.750, 0.033, 0.779)
O (0.978, 0.299, 0.849)
O (0.522, 0.299, 0.849)
O (0.479, 0.819, 0.443)
O (0.250, 0.533, 0.721)
O (0.750, 0.422, 0.459)
O (0.750, 0.078, 0.959)
O (0.021, 0.819, 0.443)
O (0.750, 0.066, 0.138)
O (0.750, 0.467, 0.279)
O (0.250, 0.922, 0.041)
O (0.022, 0.799, 0.651)
O (0.979, 0.319, 0.057)
O (0.021, 0.681, 0.943)
O (0.521, 0.181, 0.557)
O (0.250, 0.566, 0.362)

Summary:
The value obtained for the theoretical density is 3.36 Mg/m³. The crystal system is orthorhombic. For the uncorrected energy, the calculation gives -6.080 eV/atom. As for the space group: No. 62.

=====

[4]
# LaMgCrAgO6

LaMgCrAgO6 after structural relaxation (PBE with a Hubbard U, the Materials Project database).

a = 5.516 Å, b = 5.641 Å, c = 7.821 Å
α = 90.07°, β = 89.37°, γ = 90.11°
Atoms (fractional coordinates):
La (0.003, 0.940, 0.749)
La (0.503, 0.560, 0.250)
Mg (0.475, 0.448, 0.759)
Mg (0.975, 0.053, 0.259)
Cr (0.489, 0.013, 0.505)
Cr (0.989, 0.486, 0.004)
Ag (0.487, 0.002, 0.001)
Ag (0.986, 0.497, 0.501)
O (0.107, 0.408, 0.228)
O (0.181, 0.271, 0.908)
O (0.235, 0.209, 0.565)
O (0.310, 0.675, 0.939)
O (0.376, 0.726, 0.571)
O (0.339, 0.948, 0.273)
O (0.608, 0.092, 0.730)
O (0.681, 0.231, 0.408)
O (0.732, 0.290, 0.064)
O (0.809, 0.826, 0.439)
O (0.877, 0.773, 0.072)
O (0.838, 0.552, 0.775)

Summary:
The value obtained for the theoretical density is 5.72 Mg/m³. The crystal system is triclinic. For the uncorrected energy, the calculation gives -6.449 eV/atom. As for the space group: No. 1.

=====

[5]
# MgCr3AgO8

MgCr3AgO8 after structural relaxation (PBE with a Hubbard U, the Materials Project database).

a = 5.254 Å, b = 5.254 Å, c = 6.626 Å
α = 89.92°, β = 89.92°, γ = 65.80°
Atoms (fractional coordinates):
Mg (0.336, 0.336, 0.248)
Cr (0.998, 0.998, 0.496)
Cr (0.654, 0.654, 0.279)
Cr (0.357, 0.357, 0.729)
Ag (0.003, 0.003, 0.987)
O (0.744, 0.275, 0.284)
O (0.275, 0.744, 0.284)
O (0.266, 0.266, 0.959)
O (0.227, 0.227, 0.516)
O (0.771, 0.771, 0.478)
O (0.741, 0.741, 0.061)
O (0.223, 0.717, 0.705)
O (0.717, 0.223, 0.705)

Summary:
The value obtained for the theoretical density is 4.14 Mg/m³. The crystal system is monoclinic. For the uncorrected energy, the calculation gives -6.526 eV/atom. As for the space group: No. 8.

=====

[6]
# CrAg2O4

CrAg2O4 after structural relaxation (PBE with a Hubbard U, the Materials Project database).

a = 5.694 Å, b = 7.030 Å, c = 10.248 Å
α = 90.00°, β = 90.00°, γ = 90.00°
Atoms (fractional coordinates):
Cr (0.041, 0.750, 0.318)
Cr (0.541, 0.250, 0.182)
Cr (0.959, 0.250, 0.682)
Cr (0.459, 0.750, 0.818)
Ag (0.500, 0.500, 0.500)
Ag (0.000, 0.500, 0.000)
Ag (0.500, 0.000, 0.500)
Ag (0.000, 0.000, 0.000)
Ag (0.520, 0.750, 0.144)
Ag (0.020, 0.250, 0.356)
Ag (0.480, 0.250, 0.856)
Ag (0.980, 0.750, 0.644)
O (0.101, 0.750, 0.155)
O (0.601, 0.250, 0.345)
O (0.899, 0.250, 0.845)
O (0.399, 0.750, 0.655)
O (0.752, 0.750, 0.345)
O (0.252, 0.250, 0.155)
O (0.248, 0.250, 0.655)
O (0.748, 0.750, 0.845)
O (0.161, 0.555, 0.386)
O (0.661, 0.445, 0.114)
O (0.839, 0.055, 0.614)
O (0.339, 0.945, 0.886)
O (0.839, 0.445, 0.614)
O (0.339, 0.555, 0.886)
O (0.161, 0.945, 0.386)
O (0.661, 0.055, 0.114)

Summary:
The value obtained for the theoretical density is 5.37 Mg/m³. The crystal system is orthorhombic. For the uncorrected energy, the calculation gives -5.450 eV/atom. As for the space group: No. 62.

=====

[7]
# Cr2Ag2O7

Cr2Ag2O7 after structural relaxation (PBE with a Hubbard U, the Materials Project database).

a = 6.865 Å, b = 7.336 Å, c = 7.396 Å
α = 117.51°, β = 90.23°, γ = 95.87°
Atoms (fractional coordinates):
Cr (0.147, 0.677, 0.803)
Cr (0.853, 0.323, 0.197)
Cr (0.662, 0.998, 0.756)
Cr (0.338, 0.002, 0.244)
Ag (0.376, 0.547, 0.312)
Ag (0.624, 0.453, 0.688)
Ag (0.829, 0.840, 0.245)
Ag (0.171, 0.160, 0.755)
O (0.140, 0.682, 0.585)
O (0.860, 0.318, 0.415)
O (0.924, 0.648, 0.881)
O (0.076, 0.352, 0.119)
O (0.278, 0.497, 0.796)
O (0.722, 0.503, 0.204)
O (0.860, 0.028, 0.643)
O (0.140, 0.972, 0.357)
O (0.736, 0.075, 0.013)
O (0.264, 0.925, 0.987)
O (0.430, 0.246, 0.352)
O (0.570, 0.754, 0.648)
O (0.495, 0.848, 0.255)
O (0.505, 0.152, 0.745)

Summary:
The value obtained for the theoretical density is 4.37 Mg/m³. The crystal system is triclinic. For the uncorrected energy, the calculation gives -5.906 eV/atom. As for the space group: No. 2.

=====

[8]
# CrAgO2

CrAgO2 after structural relaxation (PBE with a Hubbard U, the Materials Project database).

a = 3.062 Å, b = 3.062 Å, c = 12.617 Å
α = 96.97°, β = 90.00°, γ = 120.00°
Atoms (fractional coordinates):
Cr (0.750, 0.500, 0.250)
Cr (0.250, 0.500, 0.750)
Ag (0.000, 0.000, 0.000)
Ag (0.500, 0.000, 0.500)
O (0.443, 0.887, 0.330)
O (0.943, 0.887, 0.830)
O (0.057, 0.113, 0.170)
O (0.557, 0.113, 0.670)

Summary:
The value obtained for the theoretical density is 6.28 Mg/m³. For the uncorrected energy, the calculation gives -6.439 eV/atom.

=====

[9]
# CrAgO2

CrAgO2 after structural relaxation (PBE with a Hubbard U, the Materials Project database).

a = 5.241 Å, b = 6.029 Å, c = 6.429 Å
α = 76.44°, β = 82.08°, γ = 89.99°
Atoms (fractional coordinates):
Cr (0.001, 0.000, 0.995)
Cr (0.501, 0.252, 0.995)
Cr (0.501, 0.752, 0.996)
Cr (0.001, 0.500, 0.995)
Ag (0.420, 0.130, 0.480)
Ag (0.920, 0.880, 0.480)
Ag (0.420, 0.630, 0.480)
Ag (0.920, 0.380, 0.480)
O (0.361, 0.043, 0.832)
O (0.861, 0.791, 0.832)
O (0.361, 0.543, 0.832)
O (0.861, 0.291, 0.832)
O (0.139, 0.207, 0.169)
O (0.639, 0.959, 0.169)
O (0.139, 0.707, 0.169)
O (0.639, 0.459, 0.169)

Summary:
The value obtained for the theoretical density is 6.52 Mg/m³. For the uncorrected energy, the calculation gives -6.347 eV/atom.

=====

[10]
# CrAgS2O8

CrAgS2O8 after structural relaxation (PBE with a Hubbard U, the Materials Project database).

a = 4.816 Å, b = 4.816 Å, c = 7.379 Å
α = 88.23°, β = 88.23°, γ = 65.91°
Atoms (fractional coordinates):
Cr (0.000, 0.000, 0.000)
Ag (0.000, 0.000, 0.500)
S (0.364, 0.364, 0.787)
S (0.636, 0.636, 0.213)
O (0.290, 0.290, 0.610)
O (0.710, 0.710, 0.390)
O (0.706, 0.240, 0.803)
O (0.294, 0.760, 0.197)
O (0.760, 0.294, 0.197)
O (0.240, 0.706, 0.803)
O (0.243, 0.243, 0.944)
O (0.757, 0.757, 0.056)

Summary:
The value obtained for the theoretical density is 3.74 Mg/m³. The crystal system is monoclinic. For the uncorrected energy, the calculation gives -6.194 eV/atom. As for the space group: No. 12.

=====

[11]
# Tl3Cr4AgO14

Tl3Cr4AgO14 after structural relaxation (PBE with a Hubbard U, the Materials Project database).

a = 7.558 Å, b = 7.558 Å, c = 13.802 Å
α = 78.01°, β = 78.01°, γ = 90.34°
Atoms (fractional coordinates):
Tl (0.622, 0.248, 0.502)
Tl (0.752, 0.378, 0.998)
Tl (0.378, 0.752, 0.498)
Tl (0.248, 0.622, 0.002)
Tl (0.032, 0.968, 0.250)
Tl (0.968, 0.032, 0.750)
Cr (0.868, 0.726, 0.547)
Cr (0.274, 0.132, 0.953)
Cr (0.132, 0.274, 0.453)
Cr (0.726, 0.868, 0.047)
Cr (0.949, 0.467, 0.256)
Cr (0.533, 0.051, 0.244)
Cr (0.051, 0.533, 0.744)
Cr (0.467, 0.949, 0.756)
Ag (0.445, 0.555, 0.250)
Ag (0.555, 0.445, 0.750)
O (0.008, 0.700, 0.640)
O (0.300, 0.992, 0.860)
O (0.992, 0.300, 0.360)
O (0.700, 0.008, 0.140)
O (0.698, 0.571, 0.584)
O (0.429, 0.302, 0.916)
O (0.302, 0.429, 0.416)
O (0.571, 0.698, 0.084)
O (0.994, 0.708, 0.439)
O (0.292, 0.006, 0.061)
O (0.006, 0.292, 0.561)
O (0.708, 0.994, 0.939)
O (0.787, 0.927, 0.536)
O (0.073, 0.213, 0.964)
O (0.213, 0.073, 0.464)
O (0.927, 0.787, 0.036)
O (0.124, 0.615, 0.220)
O (0.385, 0.876, 0.280)
O (0.876, 0.385, 0.780)
O (0.615, 0.124, 0.720)
O (0.759, 0.564, 0.290)
O (0.436, 0.241, 0.210)
O (0.241, 0.436, 0.710)
O (0.564, 0.759, 0.790)
O (0.939, 0.367, 0.163)
O (0.633, 0.061, 0.337)
O (0.061, 0.633, 0.837)
O (0.367, 0.939, 0.663)

Summary:
The value obtained for the theoretical density is 5.08 Mg/m³. The crystal system is monoclinic. For the uncorrected energy, the calculation gives -6.049 eV/atom. As for the space group: No. 15.

=====

[12]
# VCuAgO4

VCuAgO4 after structural relaxation (PBE with a Hubbard U, the Materials Project database).

a = 5.442 Å, b = 6.928 Å, c = 9.287 Å
α = 90.00°, β = 90.00°, γ = 90.00°
Atoms (fractional coordinates):
V (0.931, 0.750, 0.310)
V (0.431, 0.250, 0.190)
V (0.069, 0.250, 0.690)
V (0.569, 0.750, 0.810)
Cu (0.500, 0.000, 0.500)
Cu (0.000, 0.000, 0.000)
Cu (0.500, 0.500, 0.500)
Cu (0.000, 0.500, 0.000)
Ag (0.473, 0.750, 0.138)
Ag (0.973, 0.250, 0.362)
Ag (0.527, 0.250, 0.862)
Ag (0.027, 0.750, 0.638)
O (0.917, 0.750, 0.110)
O (0.417, 0.250, 0.390)
O (0.083, 0.250, 0.890)
O (0.583, 0.750, 0.610)
O (0.728, 0.250, 0.131)
O (0.228, 0.750, 0.369)
O (0.272, 0.750, 0.869)
O (0.772, 0.250, 0.631)
O (0.777, 0.546, 0.375)
O (0.277, 0.454, 0.125)
O (0.223, 0.046, 0.625)
O (0.723, 0.954, 0.875)
O (0.223, 0.454, 0.625)
O (0.723, 0.546, 0.875)
O (0.777, 0.954, 0.375)
O (0.277, 0.046, 0.125)

Summary:
The value obtained for the theoretical density is 5.43 Mg/m³. The crystal system is orthorhombic. For the uncorrected energy, the calculation gives -5.949 eV/atom. As for the space group: No. 62.